a | {"formula": "K4HfC8O21", "functional": "PBE", "state": "relaxed", "volume_a3_per_cell": 2162, "crystal_system": "monoclinic", "lattice": [[10.909, 0.000, -0.551], [0.000, 12.350, 0.000], [0.378, 0.000, 16.026]], "species": ["K", "K", "K", "K", "K", "K", "K", "K", "K", "K", "K", "K", "K", "K", "K", "K", "Hf", "Hf", "Hf", "Hf", "C", "C", "C", "C", "C", "C", "C", "C", "C", "C", "C", "C", "C", "C", "C", "C", "C", "C", "C", "C", "C", "C", "C", "C", "C", "C", "C", "C", "C", "C", "C", "C", "O", "O", "O", "O", "O", "O", "O", "O", "O", "O", "O", "O", "O", "O", "O", "O", "O", "O", "O", "O", "O", "O", "O", "O", "O", "O", "O", "O", "O", "O", "O", "O", "O", "O", "O", "O", "O", "O", "O", "O", "O", "O", "O", "O", "O", "O", "O", "O", "O", "O", "O", "O", "O", "O", "O", "O", "O", "O", "O", "O", "O", "O", "O", "O", "O", "O", "O", "O", "O", "O", "O", "O", "O", "O", "O", "O", "O", "O", "O", "O", "O", "O", "O", "O"], "fractional_positions": [[0.106, 0.149, 0.751], [0.894, 0.649, 0.749], [0.894, 0.851, 0.249], [0.106, 0.351, 0.251], [0.994, 0.275, 0.003], [0.006, 0.775, 0.497], [0.006, 0.725, 0.997], [0.994, 0.225, 0.503], [0.534, 0.454, 0.815], [0.466, 0.954, 0.685], [0.466, 0.546, 0.185], [0.534, 0.046, 0.315], [0.401, 0.154, 0.917], [0.599, 0.654, 0.583], [0.599, 0.846, 0.083], [0.401, 0.346, 0.417], [0.759, 0.151, 0.677], [0.241, 0.651, 0.823], [0.241, 0.849, 0.323], [0.759, 0.349, 0.177], [0.682, 0.092, 0.855], [0.318, 0.592, 0.645], [0.318, 0.908, 0.145], [0.682, 0.408, 0.355], [0.821, 0.118, 0.862], [0.179, 0.618, 0.638], [0.179, 0.882, 0.138], [0.821, 0.382, 0.362], [0.543, 0.148, 0.547], [0.457, 0.648, 0.953], [0.457, 0.852, 0.453], [0.543, 0.352, 0.047], [0.658, 0.176, 0.495], [0.342, 0.676, 0.005], [0.342, 0.824, 0.505], [0.658, 0.324, 0.995], [0.942, 0.976, 0.624], [0.058, 0.476, 0.876], [0.058, 0.024, 0.376], [0.942, 0.524, 0.124], [0.822, 0.912, 0.640], [0.178, 0.412, 0.860], [0.178, 0.088, 0.360], [0.822, 0.588, 0.140], [0.884, 0.377, 0.681], [0.116, 0.877, 0.819], [0.116, 0.623, 0.319], [0.884, 0.123, 0.181], [0.746, 0.400, 0.689], [0.254, 0.900, 0.811], [0.254, 0.600, 0.311], [0.746, 0.100, 0.189], [0.637, 0.108, 0.780], [0.363, 0.608, 0.720], [0.363, 0.892, 0.220], [0.637, 0.392, 0.280], [0.865, 0.147, 0.791], [0.135, 0.647, 0.709], [0.135, 0.853, 0.209], [0.865, 0.353, 0.291], [0.880, 0.113, 0.929], [0.120, 0.613, 0.571], [0.120, 0.887, 0.071], [0.880, 0.387, 0.429], [0.623, 0.061, 0.915], [0.377, 0.561, 0.585], [0.377, 0.939, 0.085], [0.623, 0.439, 0.415], [0.567, 0.132, 0.624], [0.433, 0.632, 0.876], [0.433, 0.868, 0.376], [0.567, 0.368, 0.124], [0.755, 0.182, 0.541], [0.245, 0.682, 0.959], [0.245, 0.818, 0.459], [0.755, 0.318, 0.041], [0.648, 0.189, 0.418], [0.352, 0.689, 0.082], [0.352, 0.811, 0.582], [0.648, 0.311, 0.918], [0.440, 0.143, 0.510], [0.560, 0.643, 0.990], [0.560, 0.857, 0.490], [0.440, 0.357, 0.010], [0.929, 0.079, 0.634], [0.071, 0.579, 0.866], [0.071, 0.921, 0.366], [0.929, 0.421, 0.134], [0.734, 0.974, 0.662], [0.266, 0.474, 0.838], [0.266, 0.026, 0.338], [0.734, 0.526, 0.162], [0.818, 0.811, 0.631], [0.182, 0.311, 0.869], [0.182, 0.189, 0.369], [0.818, 0.689, 0.131], [0.038, 0.931, 0.603], [0.962, 0.431, 0.897], [0.962, 0.069, 0.397], [0.038, 0.569, 0.103], [0.906, 0.276, 0.664], [0.094, 0.776, 0.836], [0.094, 0.724, 0.336], [0.906, 0.224, 0.164], [0.680, 0.313, 0.696], [0.320, 0.813, 0.804], [0.320, 0.687, 0.304], [0.680, 0.187, 0.196], [0.705, 0.494, 0.692], [0.295, 0.994, 0.808], [0.295, 0.506, 0.308], [0.705, 0.006, 0.192], [0.961, 0.449, 0.692], [0.039, 0.949, 0.808], [0.039, 0.551, 0.308], [0.961, 0.051, 0.192], [0.190, 0.101, 0.020], [0.810, 0.601, 0.480], [0.810, 0.899, 0.980], [0.190, 0.399, 0.520], [0.168, 0.370, 0.592], [0.832, 0.870, 0.908], [0.832, 0.630, 0.408], [0.168, 0.130, 0.092], [0.254, 0.108, 0.586], [0.746, 0.608, 0.914], [0.746, 0.892, 0.414], [0.254, 0.392, 0.086], [0.373, 0.285, 0.715], [0.627, 0.785, 0.785], [0.627, 0.715, 0.285], [0.373, 0.215, 0.215], [0.416, 0.335, 0.655], [0.584, 0.835, 0.845], [0.584, 0.665, 0.345], [0.416, 0.165, 0.155]]}



b | {"formula": "K4HfC8O21", "functional": "PBE", "state": "relaxed", "volume_a3_per_cell": 2107, "crystal_system": "monoclinic", "lattice": [[-10.167, -1.047, -3.782], [2.595, -11.266, -3.857], [-3.509, -5.742, 14.409]], "species": ["K", "K", "K", "K", "K", "K", "K", "K", "K", "K", "K", "K", "K", "K", "K", "K", "Hf", "Hf", "Hf", "Hf", "C", "C", "C", "C", "C", "C", "C", "C", "C", "C", "C", "C", "C", "C", "C", "C", "C", "C", "C", "C", "C", "C", "C", "C", "C", "C", "C", "C", "C", "C", "C", "C", "O", "O", "O", "O", "O", "O", "O", "O", "O", "O", "O", "O", "O", "O", "O", "O", "O", "O", "O", "O", "O", "O", "O", "O", "O", "O", "O", "O", "O", "O", "O", "O", "O", "O", "O", "O", "O", "O", "O", "O", "O", "O", "O", "O", "O", "O", "O", "O", "O", "O", "O", "O", "O", "O", "O", "O", "O", "O", "O", "O", "O", "O", "O", "O", "O", "O", "O", "O", "O", "O", "O", "O", "O", "O", "O", "O", "O", "O", "O", "O", "O", "O", "O", "O"], "fractional_positions": [[0.105, 0.147, 0.760], [0.895, 0.647, 0.740], [0.895, 0.853, 0.240], [0.105, 0.353, 0.260], [0.020, 0.261, 0.014], [0.980, 0.761, 0.486], [0.980, 0.739, 0.986], [0.020, 0.239, 0.514], [0.520, 0.443, 0.802], [0.480, 0.943, 0.698], [0.480, 0.557, 0.198], [0.520, 0.057, 0.302], [0.396, 0.151, 0.922], [0.604, 0.651, 0.578], [0.604, 0.849, 0.078], [0.396, 0.349, 0.422], [0.761, 0.150, 0.674], [0.239, 0.650, 0.826], [0.239, 0.850, 0.326], [0.761, 0.350, 0.174], [0.686, 0.085, 0.854], [0.314, 0.585, 0.646], [0.314, 0.915, 0.146], [0.686, 0.415, 0.354], [0.826, 0.111, 0.864], [0.174, 0.611, 0.636], [0.174, 0.889, 0.136], [0.826, 0.389, 0.364], [0.540, 0.143, 0.542], [0.460, 0.643, 0.958], [0.460, 0.857, 0.458], [0.540, 0.357, 0.042], [0.653, 0.176, 0.491], [0.347, 0.676, 0.009], [0.347, 0.824, 0.509], [0.653, 0.324, 0.991], [0.943, 0.974, 0.621], [0.057, 0.474, 0.879], [0.057, 0.026, 0.379], [0.943, 0.526, 0.121], [0.824, 0.909, 0.638], [0.176, 0.409, 0.862], [0.176, 0.091, 0.362], [0.824, 0.591, 0.138], [0.883, 0.377, 0.682], [0.117, 0.877, 0.818], [0.117, 0.623, 0.318], [0.883, 0.123, 0.182], [0.745, 0.399, 0.692], [0.255, 0.899, 0.808], [0.255, 0.601, 0.308], [0.745, 0.101, 0.192], [0.638, 0.101, 0.779], [0.362, 0.601, 0.721], [0.362, 0.899, 0.221], [0.638, 0.399, 0.279], [0.866, 0.149, 0.796], [0.134, 0.649, 0.704], [0.134, 0.851, 0.204], [0.866, 0.351, 0.296], [0.888, 0.097, 0.932], [0.112, 0.597, 0.568], [0.112, 0.903, 0.068], [0.888, 0.403, 0.432], [0.632, 0.052, 0.916], [0.368, 0.552, 0.584], [0.368, 0.948, 0.084], [0.632, 0.448, 0.416], [0.569, 0.126, 0.621], [0.431, 0.626, 0.879], [0.431, 0.874, 0.379], [0.569, 0.374, 0.121], [0.754, 0.182, 0.540], [0.246, 0.682, 0.960], [0.246, 0.818, 0.460], [0.754, 0.318, 0.040], [0.640, 0.195, 0.415], [0.360, 0.695, 0.085], [0.360, 0.805, 0.585], [0.640, 0.305, 0.915], [0.436, 0.136, 0.503], [0.564, 0.636, 0.997], [0.564, 0.864, 0.497], [0.436, 0.364, 0.003], [0.933, 0.078, 0.637], [0.067, 0.578, 0.863], [0.067, 0.922, 0.363], [0.933, 0.422, 0.137], [0.739, 0.971, 0.665], [0.261, 0.471, 0.835], [0.261, 0.029, 0.335], [0.739, 0.529, 0.165], [0.817, 0.808, 0.628], [0.183, 0.308, 0.872], [0.183, 0.192, 0.372], [0.817, 0.692, 0.128], [0.034, 0.929, 0.595], [0.966, 0.429, 0.905], [0.966, 0.071, 0.405], [0.034, 0.571, 0.095], [0.905, 0.275, 0.665], [0.095, 0.775, 0.835], [0.095, 0.725, 0.335], [0.905, 0.225, 0.165], [0.680, 0.310, 0.696], [0.320, 0.810, 0.804], [0.320, 0.690, 0.304], [0.680, 0.190, 0.196], [0.704, 0.494, 0.697], [0.296, 0.994, 0.803], [0.296, 0.506, 0.303], [0.704, 0.006, 0.197], [0.960, 0.451, 0.690], [0.040, 0.951, 0.810], [0.040, 0.549, 0.310], [0.960, 0.049, 0.190], [0.191, 0.055, 0.001], [0.809, 0.555, 0.499], [0.809, 0.945, 0.999], [0.191, 0.445, 0.501], [0.236, 0.311, 0.663], [0.764, 0.811, 0.837], [0.764, 0.689, 0.337], [0.236, 0.189, 0.163], [0.263, 0.104, 0.587], [0.737, 0.604, 0.913], [0.737, 0.896, 0.413], [0.263, 0.396, 0.087], [0.329, 0.276, 0.704], [0.671, 0.776, 0.796], [0.671, 0.724, 0.296], [0.329, 0.224, 0.204], [0.461, 0.393, 0.599], [0.539, 0.893, 0.901], [0.539, 0.607, 0.401], [0.461, 0.107, 0.099]]}



Energetically preferred structure: a | next structure: +148 meV/atom



a | {"formula": "HfMg14CO16", "functional": "PBE", "state": "relaxed", "volume_a3_per_cell": 326, "crystal_system": "tetragonal", "lattice": [[8.799, 0.000, 0.000], [0.000, 8.799, 0.000], [0.000, 0.000, 4.208]], "species": ["Hf", "Mg", "Mg", "Mg", "Mg", "Mg", "Mg", "Mg", "Mg", "Mg", "Mg", "Mg", "Mg", "Mg", "Mg", "C", "O", "O", "O", "O", "O", "O", "O", "O", "O", "O", "O", "O", "O", "O", "O", "O"], "fractional_positions": [[0.500, 0.500, 0.000], [0.000, 0.500, 0.000], [0.500, 0.000, 0.000], [0.000, 0.241, 0.500], [0.000, 0.759, 0.500], [0.500, 0.232, 0.500], [0.500, 0.768, 0.500], [0.241, 0.000, 0.500], [0.232, 0.500, 0.500], [0.759, 0.000, 0.500], [0.768, 0.500, 0.500], [0.229, 0.229, 0.000], [0.229, 0.771, 0.000], [0.771, 0.229, 0.000], [0.771, 0.771, 0.000], [0.000, 0.000, 0.000], [0.283, 0.000, 0.000], [0.263, 0.500, 0.000], [0.717, 0.000, 0.000], [0.737, 0.500, 0.000], [0.250, 0.250, 0.500], [0.250, 0.750, 0.500], [0.750, 0.250, 0.500], [0.750, 0.750, 0.500], [0.000, 0.000, 0.500], [0.000, 0.500, 0.500], [0.500, 0.000, 0.500], [0.500, 0.500, 0.500], [0.000, 0.283, 0.000], [0.000, 0.717, 0.000], [0.500, 0.263, 0.000], [0.500, 0.737, 0.000]]}



b | {"formula": "HfMg14CO16", "functional": "PBE", "state": "relaxed", "volume_a3_per_cell": 326, "crystal_system": "orthorhombic", "lattice": [[-2.793, -1.697, -8.105], [-1.191, -8.561, 2.203], [-3.928, 0.849, 1.176]], "species": ["Hf", "Mg", "Mg", "Mg", "Mg", "Mg", "Mg", "Mg", "Mg", "Mg", "Mg", "Mg", "Mg", "Mg", "Mg", "C", "O", "O", "O", "O", "O", "O", "O", "O", "O", "O", "O", "O", "O", "O", "O", "O"], "fractional_positions": [[0.000, 0.500, 0.000], [0.500, 0.000, 0.000], [0.500, 0.500, 0.000], [0.000, 0.224, 0.500], [0.000, 0.776, 0.500], [0.500, 0.243, 0.500], [0.500, 0.757, 0.500], [0.248, 0.000, 0.500], [0.263, 0.500, 0.500], [0.752, 0.000, 0.500], [0.737, 0.500, 0.500], [0.249, 0.230, 0.000], [0.249, 0.770, 0.000], [0.751, 0.230, 0.000], [0.751, 0.770, 0.000], [0.000, 0.000, 0.000], [0.281, 0.000, 0.000], [0.244, 0.500, 0.000], [0.719, 0.000, 0.000], [0.756, 0.500, 0.000], [0.246, 0.250, 0.500], [0.246, 0.750, 0.500], [0.754, 0.250, 0.500], [0.754, 0.750, 0.500], [0.000, 0.000, 0.500], [0.000, 0.500, 0.500], [0.500, 0.000, 0.500], [0.500, 0.500, 0.500], [0.000, 0.277, 0.000], [0.000, 0.723, 0.000], [0.500, 0.260, 0.000], [0.500, 0.740, 0.000]]}



Energetically preferred structure: b | next structure: +5 meV/atom



a | {"formula": "Hg3C", "functional": "PBE", "state": "relaxed", "volume_a3_per_cell": 79, "crystal_system": "cubic", "lattice": [[-3.625, 2.018, -1.059], [-1.493, -0.599, 3.969], [1.722, 3.729, 1.211]], "species": ["Hg", "Hg", "Hg", "C"], "fractional_positions": [[0.000, 0.500, 0.500], [0.500, 0.000, 0.500], [0.500, 0.500, 0.000], [0.000, 0.000, 0.000]]}



b | {"formula": "Hg3C", "functional": "PBE", "state": "relaxed", "volume_a3_per_cell": 79, "crystal_system": "tetragonal", "lattice": [[0.560, -4.601, 2.459], [-4.651, -1.511, 1.901], [1.458, 1.594, -4.782]], "species": ["Hg", "Hg", "Hg", "C"], "fractional_positions": [[0.750, 0.250, 0.500], [0.250, 0.750, 0.500], [0.500, 0.500, 0.000], [0.000, 0.000, 0.000]]}



Energetically preferred structure: b | next structure: +13 meV/atom